# 1
Computed, not measured: an optimized crystal structure of Na14La4Al4Si7S5O48 at the PBE level of DFT.

Symmetry   P1, No. 1

a b c (Å): 18.4598 9.1903 22.7477
angles (deg): 89.92 90.10 119.94
Fractional positions:
1 Na 0.3380 0.0085 0.9135
2 Na 0.3248 0.3198 0.3381
3 Na 0.3369 0.6995 0.0785
4 Na 0.9913 0.6790 0.9259
5 Na 0.1633 0.6834 0.1728
6 Na 0.4970 0.3497 0.7471
7 Na 0.8376 0.9754 0.5782
8 Na 0.8123 0.9919 0.2396
9 Na 0.8257 0.3262 0.3276
10 Na 0.8229 0.3295 0.8423
11 Na 0.4936 0.3023 0.4180
12 Na 0.4999 0.9834 0.9929
13 Na 0.9858 0.9800 0.9982
14 Na 0.6367 0.3346 0.5842
15 Na 0.8369 0.7191 0.0769
16 Na 0.6690 0.0351 0.4020
17 Na 0.1720 0.0295 0.4008
18 Na 0.9887 0.2856 0.4200
19 Na 0.9959 0.0119 0.4909
20 Na 0.4910 0.6942 0.9243
21 Na 0.6486 0.9537 0.0861
22 Na 0.1672 0.3005 0.9055
23 Na 0.8438 0.0271 0.9221
24 Na 0.3257 0.3263 0.8343
25 Na 0.0084 0.3555 0.7544
26 Na 0.1559 0.6425 0.6743
27 Na 0.6912 0.3667 0.2574
28 Na 0.6662 0.6472 0.6750
29 Na 0.3142 0.6394 0.7520
30 Na 0.6780 0.3223 0.9086
31 Na 0.6875 0.0063 0.7669
32 Na 0.1852 0.3660 0.2643
33 Na 0.8384 0.6686 0.4086
34 Na 0.5097 0.6602 0.2499
35 Na 0.1325 0.9372 0.0863
36 Na 0.6662 0.6879 0.1661
37 Na 0.1854 0.0081 0.7636
38 Na 0.9935 0.6404 0.2393
39 Na 0.3452 0.6685 0.4077
40 Na 0.1404 0.3353 0.5830
41 Na 0.3358 0.9704 0.5774
42 Na 0.4982 0.0169 0.4902
43 Si 0.4684 0.3437 0.5857
44 Si 0.1666 0.9791 0.9133
45 Si 0.8475 0.6934 0.2546
46 Si 0.8562 0.0004 0.7541
47 Si 0.3563 0.7103 0.2544
48 Si 0.9710 0.5991 0.0852
49 Si 0.1390 0.9979 0.2536
50 Si 0.6410 0.2852 0.7543
51 Si 0.6535 0.9903 0.2557
52 Si 0.9768 0.3365 0.5762
53 Si 0.8345 0.0687 0.0823
54 Si 0.3465 0.9982 0.7541
55 Si 0.8239 0.9732 0.4157
56 Si 0.4751 0.6167 0.0762
57 Si 0.1669 0.3323 0.4187
58 Si 0.6668 0.3540 0.4148
59 Si 0.8359 0.6681 0.9207
60 Si 0.3352 0.9966 0.4226
61 Si 0.1562 0.3169 0.7519
62 Si 0.6638 0.9992 0.9156
63 Si 0.3238 0.6750 0.9146
64 O 0.3312 0.5111 0.6380
65 O 0.0694 0.6385 0.0886
66 O 0.6919 0.4909 0.0857
67 O 0.8402 0.5056 0.2463
68 O 0.4245 0.5233 0.4188
69 O 0.7394 0.1536 0.5239
70 O 0.9375 0.3382 0.6402
71 O 0.2916 0.7228 0.9745
72 O 0.5980 0.0185 0.3059
73 O 0.1860 0.8648 0.8657
74 O 0.7531 0.8683 0.3657
75 O 0.6424 0.4645 0.7563
76 O 0.2588 0.9170 0.3746
77 O 0.7420 0.3361 0.1402
78 O 0.6001 0.9376 0.1937
79 O 0.1669 0.5041 0.7670
80 O 0.4236 0.0067 0.4043
81 O 0.7530 0.3404 0.4233
82 O 0.5619 0.4232 0.9651
83 O 0.5348 0.4471 0.8626
84 O 0.9790 0.7880 0.0785
85 O 0.2562 0.6198 0.5857
86 O 0.1041 0.2643 0.6894
87 O 0.0359 0.6214 0.3648
88 O 0.2304 0.1686 0.2632
89 O 0.9251 0.8365 0.9033
90 O 0.5865 0.4791 0.2686
91 O 0.7933 0.8638 0.4764
92 O 0.6161 0.1833 0.0824
93 O 0.9366 0.5451 0.7626
94 O 0.9229 0.4958 0.0266
95 O 0.8301 0.5252 0.5231
96 O 0.9910 0.8104 0.4094
97 O 0.1032 0.1759 0.8021
98 O 0.5524 0.6371 0.3629
99 O 0.9873 0.1878 0.3065
100 O 0.0100 0.2281 0.2010
101 O 0.9169 0.5133 0.4271
102 O 0.7586 0.6469 0.5769
103 O 0.8317 0.1607 0.4211
104 O 0.7310 0.2929 0.7626
105 O 0.3297 0.1359 0.0226
106 O 0.1395 0.4093 0.4739
107 O 0.9149 0.2998 0.2512
108 O 0.4911 0.1721 0.9095
109 O 0.6353 0.3972 0.4767
110 O 0.4175 0.3319 0.6471
111 O 0.0791 0.0005 0.3061
112 O 0.4154 0.5024 0.0211
113 O 0.4824 0.8055 0.0708
114 O 0.4162 0.8352 0.8985
115 O 0.3496 0.1862 0.4315
116 O 0.6835 0.8837 0.5732
117 O 0.4123 0.5202 0.7466
118 O 0.1089 0.1774 0.0712
119 O 0.6895 0.9210 0.8602
120 O 0.1164 0.0464 0.5828
121 O 0.6054 0.2181 0.6872
122 O 0.5884 0.1682 0.3985
123 O 0.2491 0.3278 0.7420
124 O 0.2505 0.3159 0.4341
125 O 0.2334 0.3380 0.1306
126 O 0.6636 0.8234 0.2706
127 O 0.2527 0.8388 0.7658
128 O 0.5596 0.7123 0.4654
129 O 0.0832 0.1491 0.4054
130 O 0.4159 0.8406 0.3055
131 O 0.9150 0.0397 0.0756
132 O 0.0070 0.8124 0.8088
133 O 0.1961 0.4653 0.3639
134 O 0.9114 0.7972 0.3085
135 O 0.3716 0.9428 0.6923
136 O 0.8005 0.7271 0.9767
137 O 0.0651 0.4664 0.2622
138 O 0.4185 0.3524 0.5282
139 O 0.7307 0.1265 0.6311
140 O 0.8299 0.1599 0.1440
141 O 0.5776 0.1583 0.8040
142 O 0.8729 0.8036 0.1941
143 O 0.5059 0.7857 0.6975
144 O 0.6065 0.0372 0.5713
145 O 0.3020 0.8742 0.4810
146 O 0.1360 0.8703 0.9745
147 O 0.8474 0.5051 0.9331
148 O 0.2546 0.6382 0.8630
149 O 0.2430 0.1531 0.6403
150 O 0.9307 0.3336 0.9131
151 O 0.7448 0.1649 0.2470
152 O 0.2567 0.6568 0.2527
153 O 0.9167 0.3313 0.5212
154 O 0.4125 0.0276 0.8065
155 O 0.3303 0.1208 0.1301
156 O 0.9212 0.5117 0.1471
157 O 0.5207 0.2415 0.2049
158 O 0.0036 0.1801 0.8970
159 O 0.2406 0.3271 0.0232
160 O 0.4820 0.7736 0.8029
161 O 0.4999 0.8219 0.4006
162 O 0.7436 0.3384 0.0311
163 O 0.5668 0.4972 0.5874
164 O 0.5704 0.6477 0.0775
165 O 0.0219 0.7980 0.7035
166 O 0.7534 0.6645 0.2668
167 O 0.5051 0.1984 0.3105
168 O 0.8305 0.5402 0.6306
169 O 0.0737 0.4967 0.5770
170 O 0.4180 0.3220 0.9268
171 O 0.2447 0.1537 0.5318
172 O 0.8862 0.9849 0.6875
173 O 0.1948 0.8965 0.5864
174 O 0.0633 0.4080 0.9618
175 O 0.9167 0.9986 0.3996
176 O 0.8270 0.1552 0.0215
177 O 0.2587 0.8705 0.0763
178 O 0.4359 0.3253 0.2634
179 O 0.4740 0.1669 0.5788
180 O 0.7631 0.5938 0.8700
181 O 0.6334 0.8619 0.9694
182 O 0.9199 0.9942 0.8027
183 O 0.3383 0.1703 0.7470
184 O 0.8586 0.1811 0.7631
185 O 0.0602 0.4717 0.8590
186 O 0.4071 0.7698 0.5798
187 O 0.9846 0.1630 0.5708
188 O 0.3877 0.7908 0.1890
189 O 0.7570 0.8532 0.7535
190 O 0.3312 0.5025 0.9206
191 O 0.1855 0.4850 0.0728
192 O 0.0871 0.6916 0.7670
193 O 0.5806 0.0186 0.9033
194 O 0.6857 0.5092 0.3685
195 O 0.2531 0.1657 0.9222
196 O 0.1402 0.8204 0.2559
197 O 0.3597 0.5356 0.2636
198 O 0.1037 0.9987 0.1875
199 O 0.4343 0.5367 0.1402
200 O 0.9106 0.7933 0.5726
201 O 0.7506 0.8756 0.0869
202 O 0.3281 0.5084 0.5287
203 O 0.0591 0.7006 0.4670
204 O 0.0895 0.0100 0.8965
205 O 0.4105 0.0294 0.0719
206 O 0.7474 0.1816 0.9299
207 O 0.5632 0.6580 0.7585
208 La 0.1803 0.6883 0.3221
209 La 0.5020 0.9862 0.1518
210 La 0.1567 0.6648 0.0083
211 La 0.8362 0.3388 0.6935
212 La 0.6817 0.6722 0.8252
213 La 0.3362 0.3309 0.1932
214 La 0.4929 0.0046 0.6497
215 La 0.6586 0.6500 0.5072
216 La 0.9888 0.9886 0.1462
217 La 0.6726 0.6899 0.0131
218 La 0.0009 0.0154 0.6529
219 La 0.1680 0.6612 0.5090
220 S 0.4918 0.6880 0.7520
221 S 0.5025 0.3437 0.9162
222 S 0.2004 0.0635 0.5855
223 S 0.6994 0.3379 0.0848
224 S 0.6899 0.0506 0.5749
225 S 0.0013 0.6615 0.4168
226 S 0.5117 0.3089 0.2619
227 S 0.5097 0.6716 0.4106
228 S 0.0121 0.7129 0.7608
229 S 0.0139 0.3503 0.9068
230 S 0.1916 0.3304 0.0746
231 S 0.9939 0.2934 0.2550
232 S 0.3341 0.0441 0.0741
233 S 0.8343 0.6251 0.5747
234 S 0.3325 0.5996 0.5833
235 Al 0.8338 0.3353 0.1840
236 Al 0.3330 0.3181 0.6921
237 Al 0.8322 0.3367 0.9864
238 Al 0.5046 0.0069 0.3470
239 Al 0.3319 0.3495 0.9747
240 Al 0.1880 0.6893 0.8205
241 Al 0.4954 0.0103 0.8510
242 Al 0.8324 0.3155 0.4742
243 Al 0.0048 0.0000 0.8473
244 Al 0.6900 0.6881 0.3202
245 Al 0.9940 0.9870 0.3485
246 Al 0.3329 0.3192 0.4829

# 2
Computed, not measured: an optimized crystal structure of Ca2AlPbF9 at the PBE level of DFT.

Symmetry   P-1, No. 2

a b c (Å): 5.4431 5.4463 12.3717
angles (deg): 91.46 101.05 91.72
Fractional positions:
1 F 0.0418 0.4060 0.9008
2 F 0.2581 0.4507 0.7251
3 F 0.7481 0.9921 0.4988
4 F 0.0843 0.8901 0.2791
5 F 0.2566 0.3864 0.2916
6 F 0.2519 0.0079 0.5012
7 F 0.1513 0.9513 0.9042
8 F 0.9582 0.5940 0.0992
9 F 0.3706 0.0004 0.7350
10 F 0.7419 0.5493 0.2749
11 F 0.7434 0.6136 0.7084
12 F 0.7496 0.4882 0.4943
13 F 0.8487 0.0487 0.0958
14 F 0.4996 0.7038 0.0923
15 F 0.5004 0.2962 0.9077
16 F 0.9157 0.1099 0.7209
17 F 0.2504 0.5118 0.5057
18 F 0.6294 0.9996 0.2650
19 Ca 0.0416 0.7578 0.6139
20 Ca 0.9584 0.2422 0.3861
21 Ca 0.5513 0.2656 0.6134
22 Ca 0.4487 0.7344 0.3866
23 Al 0.7964 0.7931 0.1814
24 Al 0.2036 0.2069 0.8186
25 Pb 0.7277 0.7178 0.8945
26 Pb 0.2723 0.2822 0.1055

Values of electronic total energy, in order: -1621.0, -147.0, all in eV for the cell shown.
Values of total magnetization, in order: 0.00, 0.00, all in Bohr magnetons per cell.